No. 1
Material: LiTc2Pd
Method: DFT, PBE
State: relaxed

Values from the calculation:
energy relative to the elements = 0.57 eV per atom
space group = Fm-3m, No. 225

POSCAR file:
```
LiTc2Pd
1.0
0.000 3.052 3.052
3.052 0.000 3.052
3.052 3.052 0.000
Li Tc Pd
1 2 1
Direct
0.000 0.000 0.000 Li
0.250 0.250 0.250 Tc
0.750 0.750 0.750 Tc
0.500 0.500 0.500 Pd
```

---

No. 2
Material: Ta2V3Si
Method: DFT, PBE
State: relaxed

Values from the calculation:
corrected total energy (MP2020 scheme) = -116.7 eV/cell
energy relative to the elements = -0.33 eV per atom
space group = P6_3/mmc, No. 194

POSCAR file:
```
Ta2V3Si
1.0
2.476 -4.288 0.000
2.476 4.288 0.000
0.000 0.000 8.371
Ta V Si
4 6 2
Direct
0.333 0.667 0.938 Ta
0.667 0.333 0.062 Ta
0.667 0.333 0.438 Ta
0.333 0.667 0.562 Ta
0.170 0.830 0.250 V
0.170 0.341 0.250 V
0.659 0.830 0.250 V
0.830 0.170 0.750 V
0.830 0.659 0.750 V
0.341 0.170 0.750 V
0.000 0.000 0.500 Si
0.000 0.000 0.000 Si
```